# 1
Ca5ZnN4: relaxed, PBE-GGA.

As for the MP2020-corrected energy: -103.6 eV/cell. The value obtained for the calculated total energy is -5.033 eV per atom.

Geometry as POSCAR:
```
Ca5ZnN4
1.0
7.8211 0.0000 0.0000
0.0000 7.5241 0.0000
0.0000 0.0000 5.9024
Ca N Zn
10 8 2
Direct
0.0471 0.4944 0.7560
0.5471 0.5056 0.2440
0.0471 0.0056 0.7560
0.4529 0.4944 0.7560
0.9529 0.9944 0.2440
0.4529 0.0056 0.7560
0.2500 0.2500 0.3020
0.5471 0.9944 0.2440
0.7500 0.7500 0.6980
0.9529 0.5056 0.2440
0.2500 0.5095 0.0784
0.5083 0.2500 0.5096
0.0083 0.7500 0.4904
0.4917 0.7500 0.4904
0.7500 0.0095 0.9216
0.7500 0.4905 0.9216
0.2500 0.9905 0.0784
0.9917 0.2500 0.5096
0.2500 0.7500 0.2897
0.7500 0.2500 0.7103
```



# 2
Tm2ZnIn: relaxed, PBE-GGA.

The value obtained for the calculated total energy is -3.624 eV per atom.

Geometry as POSCAR:
```
Tm2ZnIn
1.0
0.0000 3.6282 3.6282
3.6282 0.0000 3.6282
3.6282 3.6282 0.0000
Zn In Tm
1 1 2
Direct
0.0000 0.0000 0.0000
0.5000 0.5000 0.5000
0.7500 0.7500 0.7500
0.2500 0.2500 0.2500
```



# 3
KLaCuTe4: relaxed, PBE-GGA.

As for the MP2020-corrected energy: -61.4 eV/cell. The value obtained for the calculated total energy is -4.142 eV per atom.

Geometry as POSCAR:
```
KLaCuTe4
1.0
4.4922 0.0000 0.0000
0.0000 4.4922 0.0000
0.0000 0.0000 21.2625
Te La K Cu
8 2 2 2
Direct
0.5000 0.0000 0.0700
0.0000 0.5000 0.4418
0.5000 0.5000 0.7221
0.5000 0.0000 0.5582
0.0000 0.0000 0.2779
0.5000 0.5000 0.2779
0.0000 0.5000 0.9300
0.0000 0.0000 0.7221
0.5000 0.0000 0.3977
0.0000 0.5000 0.6023
0.0000 0.5000 0.1380
0.5000 0.0000 0.8620
0.5000 0.5000 0.0000
0.0000 0.0000 0.0000
```



Sequential formation energy from the elements output: -0.715 -0.383 -1.138 eV/atom
Sequential calculated volume output: 17.37 23.88 30.65 Å³ per atom